# 1
Below is a relaxed structure of TiCl3, with properties calculated at the PBE level.

```
TiCl3
1.0
-2.6160 -0.8784 -5.4754
-2.1808 -2.9265 4.9269
-8.1170 9.5154 2.2131
Ti Cl
4 12
Direct
0.4837 0.5163 0.7500
0.1653 0.8347 0.7500
0.5163 0.4837 0.2500
0.8347 0.1653 0.2500
0.1778 0.1714 0.8590
0.1808 0.5318 0.6364
0.5318 0.1808 0.1364
0.4682 0.8192 0.8636
0.4704 0.1794 0.6408
0.5296 0.8206 0.3592
0.8192 0.4682 0.3636
0.1794 0.4704 0.1408
0.1714 0.1778 0.3590
0.8206 0.5296 0.8592
0.8222 0.8286 0.1410
0.8286 0.8222 0.6410
```

Space-group type ... No. 15
Calculated formation energy ... -2.05 eV per atom

---

# 2
Below is a relaxed structure of Tm3Sb, with properties calculated at the PBE level.

```
Tm3Sb
1.0
12.2140 0.0000 0.0000
0.0000 12.2140 0.0000
0.0000 0.0000 6.1124
Tm Sb
24 8
Direct
0.2862 0.1737 0.0167
0.6737 0.2138 0.5167
0.3263 0.7862 0.5167
0.7138 0.8263 0.0167
0.2138 0.3263 0.4833
0.8263 0.2862 0.9833
0.1737 0.7138 0.9833
0.7862 0.6737 0.4833
0.0312 0.1453 0.7136
0.6453 0.4688 0.2136
0.3547 0.5312 0.2136
0.9688 0.8547 0.7136
0.4688 0.3547 0.7864
0.8547 0.0312 0.2864
0.1453 0.9688 0.2864
0.5312 0.6453 0.7864
0.6084 0.9167 0.5367
0.4167 0.8916 0.0367
0.5833 0.1084 0.0367
0.3916 0.0833 0.5367
0.8916 0.5833 0.9633
0.0833 0.6084 0.4633
0.9167 0.3916 0.4633
0.1084 0.4167 0.9633
0.8006 0.0427 0.7904
0.5427 0.6994 0.2904
0.4573 0.3006 0.2904
0.1994 0.9573 0.7904
0.6994 0.4573 0.7096
0.9573 0.8006 0.2096
0.0427 0.1994 0.2096
0.3006 0.5427 0.7096
```

Space-group type ... No. 86
Calculated formation energy ... -0.60 eV per atom

---

# 3
Below is a relaxed structure of Lu5Te2Au2, with properties calculated at the PBE level.

```
Lu5Te2Au2
1.0
3.9179 -7.6214 0.0000
3.9179 7.6214 0.0000
0.0000 0.0000 7.8269
Lu Te Au
10 4 4
Direct
0.0000 0.0000 0.0000
0.5000 0.5000 0.5000
0.7841 0.5402 0.1608
0.4598 0.2159 0.8392
0.9598 0.7159 0.6607
0.2841 0.0402 0.3392
0.2159 0.4598 0.8392
0.5402 0.7841 0.1608
0.0402 0.2841 0.3392
0.7159 0.9598 0.6607
0.2084 0.7916 0.0000
0.7084 0.2916 0.5000
0.7916 0.2084 0.0000
0.2916 0.7084 0.5000
0.8634 0.8634 0.3651
0.1366 0.1366 0.6349
0.6366 0.6366 0.8651
0.3634 0.3634 0.1349
```

Space-group type ... No. 64
Calculated formation energy ... -0.97 eV per atom
Magnetic moment ... 0.002 μB/atom

---

# 4
Below is a relaxed structure of Sr2SnH18Se4O12, with properties calculated at the PBE level.

```
Sr2SnH18Se4O12
1.0
5.9918 0.0000 0.0000
-2.9667 7.9780 0.0000
-2.3222 -2.1418 9.1814
Sr Sn H Se O
2 1 18 4 12
Direct
0.6663 0.7991 0.0379
0.3337 0.2009 0.9621
0.0000 0.5000 0.0000
0.7956 0.5161 0.2106
0.2044 0.4839 0.7894
0.3172 0.7297 0.2434
0.6828 0.2703 0.7566
0.7858 0.5971 0.7767
0.2142 0.4029 0.2233
0.2199 0.9009 0.1354
0.7801 0.0991 0.8646
0.2264 0.0611 0.2373
0.7736 0.9389 0.7627
0.1428 0.8025 0.8585
0.8572 0.1975 0.1415
0.3141 0.8690 0.7580
0.6859 0.1310 0.2420
0.9956 0.8434 0.3801
0.0044 0.1566 0.6199
0.7404 0.8494 0.3889
0.2596 0.1506 0.6111
0.7846 0.4873 0.4850
0.2154 0.5127 0.5150
0.5998 0.1900 0.4807
0.4002 0.8100 0.5193
0.7399 0.5098 0.1055
0.2601 0.4902 0.8945
0.2858 0.7272 0.1385
0.7142 0.2728 0.8615
0.8837 0.6601 0.8776
0.1163 0.3399 0.1224
0.1563 0.9964 0.1354
0.8437 0.0036 0.8646
0.3121 0.8853 0.8602
0.6879 0.1147 0.1398
0.8455 0.8572 0.3243
0.1545 0.1428 0.6757
```

Space-group type ... No. 2
Calculated formation energy ... -1.40 eV per atom

---

# 5
Below is a relaxed structure of BaNb7O9, with properties calculated at the PBE level.

```
BaNb7O9
1.0
-2.9632 -2.5736 -1.6221
2.0300 0.0138 -3.7302
6.7148 -10.0110 3.6170
Ba Nb O
1 7 9
Direct
0.0000 0.0000 0.0000
0.5000 0.5000 0.5000
0.5000 0.0000 0.3284
0.0000 0.5000 0.3284
0.5000 0.0000 0.6716
0.0000 0.5000 0.6716
0.5000 0.5000 0.1684
0.5000 0.5000 0.8316
0.0000 0.5000 0.5000
0.5000 0.0000 0.5000
0.0000 0.0000 0.3347
0.0000 0.0000 0.6653
0.0000 0.5000 0.1608
0.5000 0.0000 0.1608
0.0000 0.5000 0.8392
0.5000 0.0000 0.8392
0.5000 0.5000 0.0000
```

Space-group type ... No. 123
Calculated formation energy ... -2.58 eV per atom

---

# 6
Below is a relaxed structure of TiSiC7NCl3, with properties calculated at the PBE level.

```
TiSiC7NCl3
1.0
-12.7689 7.8314 6.9108
-3.7332 -6.8545 0.8699
4.0231 -1.5212 9.1571
Ti Si C N Cl
4 4 28 4 12
Direct
0.5422 0.9673 0.6763
0.0422 0.0327 0.8237
0.4578 0.0327 0.3237
0.9578 0.9673 0.1763
0.6326 0.3627 0.7364
0.1326 0.6373 0.7636
0.3674 0.6373 0.2636
0.8674 0.3627 0.2364
0.7278 0.1908 0.7505
0.2278 0.8092 0.7495
0.2722 0.8092 0.2495
0.7722 0.1908 0.2505
0.6985 0.2202 0.8709
0.1985 0.7798 0.6291
0.3015 0.7798 0.1291
0.8015 0.2202 0.3709
0.6614 0.3461 0.9323
0.1614 0.6539 0.5677
0.3386 0.6539 0.0677
0.8386 0.3461 0.4323
0.4686 0.2645 0.7491
0.9686 0.7355 0.7509
0.5314 0.7355 0.2509
0.0314 0.2645 0.2491
0.3839 0.2264 0.7293
0.8839 0.7736 0.7707
0.6161 0.7736 0.2707
0.1161 0.2264 0.2293
0.4152 0.4101 0.7449
0.9152 0.5899 0.7551
0.5848 0.5899 0.2551
0.0848 0.4101 0.2449
0.3313 0.3727 0.7216
0.8313 0.6273 0.7784
0.6687 0.6273 0.2784
0.1687 0.3727 0.2216
0.5405 0.2066 0.7507
0.0405 0.7934 0.7493
0.4595 0.7934 0.2493
0.9595 0.2066 0.2507
0.6645 0.8626 0.6655
0.1645 0.1374 0.8345
0.3355 0.1374 0.3345
0.8355 0.8626 0.1655
0.4938 0.8318 0.8547
0.9938 0.1682 0.6453
0.5062 0.1682 0.1453
0.0062 0.8318 0.3547
0.4410 0.8516 0.5420
0.9410 0.1484 0.9580
0.5590 0.1484 0.4580
0.0590 0.8516 0.0420
```

Space-group type ... No. 14
Calculated formation energy ... 0.68 eV per atom
Magnetic moment ... 0.000 μB/atom

---

# 7
Below is a relaxed structure of Al2O3, with properties calculated at the PBE level.

```
Al2O3
1.0
-8.5022 3.2623 4.1913
-5.0929 -2.1699 -8.3580
-2.4977 -9.7879 4.2848
Al O
40 60
Direct
0.7560 0.4865 0.7651
0.7889 0.8278 0.3246
0.5523 0.7030 0.7380
0.0583 0.6766 0.1467
0.8359 0.4880 0.2004
0.2265 0.0048 0.4652
0.0587 0.5752 0.6804
0.9533 0.3438 0.5562
0.5636 0.3598 0.1827
0.6960 0.2445 0.9237
0.4672 0.4844 0.5052
0.2426 0.2593 0.6302
0.6801 0.3008 0.6044
0.7262 0.8068 0.5574
0.5595 0.0437 0.0396
0.0726 0.8895 0.6791
0.3279 0.1525 0.2256
0.7784 0.9154 0.8281
0.3702 0.4554 0.7369
0.4848 0.9052 0.3028
0.5514 0.1155 0.7585
0.2045 0.5010 0.9198
0.9388 0.6458 0.9345
0.0763 0.9089 0.2758
0.2871 0.6752 0.3176
0.4984 0.1902 0.4490
0.9930 0.2609 0.0037
0.5389 0.5325 0.9844
0.1136 0.9525 0.9832
0.9071 0.0768 0.4557
0.8467 0.0544 0.1453
0.5388 0.6358 0.2397
0.4250 0.8998 0.5844
0.3203 0.2138 0.9315
0.3080 0.8993 0.8089
0.7148 0.7929 0.0459
0.2881 0.4140 0.1761
0.9017 0.1589 0.7413
0.0228 0.3379 0.2895
0.9894 0.6440 0.4354
0.9527 0.7652 0.2721
0.1924 0.3043 0.2704
0.7227 0.0908 0.8075
0.8329 0.1869 0.5948
0.5576 0.0412 0.3818
0.8019 0.4361 0.6112
0.1969 0.5241 0.7614
0.2471 0.9229 0.6446
0.6342 0.3805 0.0233
0.0285 0.7327 0.6260
0.2614 0.0424 0.9294
0.0615 0.2560 0.6630
0.9561 0.2523 0.4142
0.6076 0.6619 0.0798
0.3997 0.7493 0.8146
0.7878 0.9413 0.4636
0.4477 0.0192 0.1658
0.9243 0.3266 0.1509
0.8573 0.8006 0.9335
0.1298 0.8569 0.8445
0.2093 0.0313 0.3003
0.8827 0.2647 0.8837
0.4019 0.7634 0.2259
0.9383 0.9868 0.7531
0.8177 0.6920 0.4621
0.5073 0.1589 0.9206
0.9208 0.5464 0.8020
0.1486 0.3366 0.9647
0.1412 0.7480 0.3864
0.3312 0.2698 0.7719
0.7089 0.1417 0.0746
0.3251 0.4057 0.5791
0.4454 0.4922 0.1479
0.9574 0.5054 0.3125
0.9353 0.0367 0.2837
0.9913 0.0826 0.0348
0.1139 0.8534 0.1167
0.4170 0.5745 0.3798
0.4580 0.2633 0.2886
0.0528 0.9950 0.5133
0.6680 0.4800 0.2521
0.5624 0.1688 0.6083
0.1972 0.5720 0.2001
0.5870 0.3534 0.4744
0.5495 0.7758 0.5775
0.6609 0.3321 0.7784
0.5082 0.5404 0.6585
0.7671 0.8994 0.1646
0.6400 0.5938 0.8486
0.6215 0.7730 0.3152
0.4549 0.9785 0.7306
0.7218 0.8012 0.7191
0.0447 0.4975 0.5337
0.3845 0.4833 0.9089
0.3143 0.1528 0.5097
0.8831 0.6084 0.0910
0.6318 0.9080 0.9539
0.1019 0.6256 0.9856
0.3399 0.2583 0.0883
0.3632 0.8883 0.4375
```

Space-group type ... No. 1
Calculated formation energy ... -3.22 eV per atom
Magnetic moment ... 0.000 μB/atom

---

# 8
Below is a relaxed structure of Na2RuO4, with properties calculated at the PBE level.

```
Na2RuO4
1.0
7.1305 0.0000 0.0000
0.0000 10.8431 0.0000
0.0000 5.3942 9.6505
Na Ru O
16 8 32
Direct
0.5405 0.3057 0.5882
0.0405 0.6943 0.9118
0.4595 0.6943 0.4118
0.9595 0.3057 0.0882
0.4318 0.3505 0.0851
0.9318 0.6495 0.4149
0.5682 0.6495 0.9149
0.0682 0.3505 0.5851
0.4870 0.1905 0.9120
0.9870 0.8095 0.5880
0.5130 0.8095 0.0880
0.0130 0.1905 0.4120
0.9978 0.1532 0.9010
0.4978 0.8468 0.5990
0.0022 0.8468 0.0990
0.5022 0.1532 0.4010
0.7554 0.5003 0.7492
0.2554 0.4997 0.7508
0.2446 0.4997 0.2508
0.7446 0.5003 0.2492
0.7704 0.0008 0.7518
0.2704 0.9992 0.7482
0.2296 0.9992 0.2482
0.7296 0.0008 0.2518
0.8564 0.1637 0.6129
0.3564 0.8363 0.8871
0.1436 0.8363 0.3871
0.6436 0.1637 0.1129
0.3521 0.4816 0.6113
0.8521 0.5184 0.8887
0.6479 0.5184 0.3887
0.1479 0.4816 0.1113
0.7470 0.3291 0.7599
0.2470 0.6709 0.7401
0.2530 0.6709 0.2401
0.7530 0.3291 0.2599
0.6797 0.0074 0.8992
0.1797 0.9926 0.6008
0.3203 0.9926 0.1008
0.8203 0.0074 0.3992
0.2732 0.1641 0.7521
0.7732 0.8359 0.7479
0.7268 0.8359 0.2479
0.2268 0.1641 0.2521
0.3176 0.3406 0.4030
0.8176 0.6594 0.0970
0.6824 0.6594 0.5970
0.1824 0.3406 0.9030
0.9917 0.4686 0.3470
0.4917 0.5314 0.1530
0.0083 0.5314 0.6530
0.5083 0.4686 0.8470
0.5215 0.0485 0.6489
0.0215 0.9515 0.8511
0.4785 0.9515 0.3511
0.9785 0.0485 0.1489
```

Space-group type ... No. 14
Calculated formation energy ... -1.68 eV per atom
Magnetic moment ... 0.286 μB/atom